# 1
Material: Hf6Al2Ni
Method: DFT, r2SCAN
State: relaxed

Unit cell a=7.7980 b=7.7980 c=3.3078 alpha=90.00 beta=90.00 gamma=120.00
Closest atoms and distances in Å follow each position.
Space group P-62m (No. 189)
Inequivalent atoms, fractional coordinates:
1 Hf 0.0000 0.3996 0.0000  4 Al 2.90, 1 Ni 3.12, 6 Hf 3.17-3.19
2 Hf 0.0000 0.7468 0.5000  2 Ni 2.58
3 Al 0.3333 0.6667 0.5000  9 Hf 2.90-2.96
4 Ni 0.0000 0.0000 0.0000  6 Hf 2.58

Computed properties:
E = -33.301 eV per atom
ΔH_f (0 K) = -3.35 eV per formula unit
Crystal system = hexagonal


# 2
Material: CrBi14O24
Method: DFT, r2SCAN
State: relaxed

Unit cell a=8.6901 b=8.7012 c=10.4599 alpha=65.76 beta=65.96 gamma=89.99
Closest atoms and distances in Å follow each position.
Space group P1 (No. 1)
Inequivalent atoms, fractional coordinates:
1 Cr 0.0000 0.0000 0.0000  4 O 1.65-1.66
2 Bi 0.0437 0.4422 0.6921  3 O 2.12-2.24
3 Bi 0.1121 0.9167 0.3638  3 O 2.10-2.23
4 Bi 0.1909 0.4116 0.0358  4 O 2.23-2.31
5 Bi 0.2613 0.8476 0.6948  3 O 2.11-2.23
6 Bi 0.3276 0.3156 0.3533  4 O 2.32-2.42
7 Bi 0.4181 0.7613 0.0358  4 O 2.24-2.30
8 Bi 0.4509 0.2536 0.6904  3 O 2.11-2.23
9 Bi 0.5200 0.6965 0.3660  3 O 2.13-2.25
10 Bi 0.5435 0.1892 0.0287  4 O 2.24-2.25
11 Bi 0.6348 0.6373 0.7135  4 O 2.30-2.41
12 Bi 0.7114 0.1036 0.3613  3 O 2.12-2.23
13 Bi 0.7700 0.5363 0.0292  4 O 2.21-2.26
14 Bi 0.8540 0.0313 0.6967  3 O 2.13-2.25
15 Bi 0.9265 0.5097 0.3681  3 O 2.11-2.24
16 O 0.0894 0.0911 0.8058  1 Cr 1.66
17 O 0.0981 0.6018 0.7913  2 Bi 2.16-2.19
18 O 0.1167 0.8647 0.0617  1 Cr 1.66
19 O 0.1593 0.9767 0.5214  2 Bi 2.10-2.23
20 O 0.2210 0.5159 0.1935  4 Bi 2.24-2.45
21 O 0.2841 0.2105 0.1869  4 Bi 2.23-2.46
22 O 0.3164 0.4770 0.5193  2 Bi 2.13-2.24
23 O 0.3626 0.8543 0.2703  2 Bi 2.17-2.18
24 O 0.3787 0.6744 0.8752  4 Bi 2.24-2.47
25 O 0.4387 0.3693 0.8742  4 Bi 2.24-2.48
26 O 0.4785 0.7907 0.5460  2 Bi 2.11-2.25
27 O 0.4936 0.1574 0.5134  2 Bi 2.12-2.23
28 O 0.5245 0.5749 0.1929  4 Bi 2.26-2.43
29 O 0.5899 0.2776 0.1866  4 Bi 2.25-2.46
30 O 0.6036 0.0952 0.7924  2 Bi 2.17-2.18
31 O 0.6518 0.4720 0.5368  2 Bi 2.11-2.24
32 O 0.6814 0.7349 0.8752  3 Bi 2.21-2.34
33 O 0.7460 0.4311 0.8744  4 Bi 2.24-2.48
34 O 0.8040 0.8978 0.0640  1 Cr 1.65
35 O 0.8041 0.9664 0.5403  2 Bi 2.13-2.23
36 O 0.8732 0.3468 0.2706  2 Bi 2.15-2.20
37 O 0.9830 0.6428 0.5298  2 Bi 2.12-2.23
38 O 0.9849 0.3066 0.5275  2 Bi 2.11-2.25
39 O 0.9921 0.1534 0.0566  1 Cr 1.66

Computed properties:
E = -26.460 eV per atom
ΔH_f (0 K) = -54.50 eV per formula unit
Crystal system = triclinic


# 3
Material: HfFeAs
Method: DFT, r2SCAN
State: relaxed

Unit cell a=6.3686 b=3.8781 c=7.2432 alpha=90.00 beta=90.00 gamma=90.00
Closest atoms and distances in Å follow each position.
Space group Pnma (No. 62)
Inequivalent atoms, fractional coordinates:
1 Hf 0.0161 0.2500 0.1878  5 As 2.73-2.75, 6 Fe 2.84-3.02
2 Fe 0.1492 0.2500 0.5624  4 As 2.38-2.46
3 As 0.2249 0.7500 0.3835  4 Fe 2.38-2.46

Computed properties:
E = -25.384 eV per atom
ΔH_f (0 K) = -1.88 eV per formula unit
Crystal system = orthorhombic


# 4
Material: Ca2YNbO6
Method: DFT, r2SCAN
State: relaxed

Unit cell a=8.3117 b=8.3117 c=8.3117 alpha=90.00 beta=90.00 gamma=90.00
Closest atoms and distances in Å follow each position.
Space group Fm-3m (No. 225)
Inequivalent atoms, fractional coordinates:
1 Ca 0.2500 0.2500 0.2500  12 O 2.94
2 Y 0.0000 0.0000 0.0000  6 O 2.17
3 Nb 0.0000 0.0000 0.5000  6 O 1.99
4 O 0.0000 0.0000 0.2612  1 Nb 1.99, 1 Y 2.17

Computed properties:
E = -12.615 eV per atom
ΔH_f (0 K) = -31.19 eV per formula unit
Crystal system = cubic


# 5
Material: NdO2
Method: DFT, r2SCAN
State: relaxed

Unit cell a=6.7107 b=4.0328 c=6.5090 alpha=90.00 beta=97.87 gamma=90.00
Closest atoms and distances in Å follow each position.
Space group C2/m (No. 12)
Inequivalent atoms, fractional coordinates:
1 Nd 0.1985 0.0000 0.2312  7 O 2.35-2.58
2 O 0.0780 0.5000 0.4279  1 O 1.50
3 O 0.1523 0.0000 0.8583  4 Nd 2.35-2.40

Computed properties:
E = -16.908 eV per atom
ΔH_f (0 K) = -9.36 eV per formula unit
Crystal system = monoclinic


# 6
Material: PaBiAu2
Method: DFT, r2SCAN
State: relaxed

Unit cell a=7.1644 b=7.1644 c=7.1644 alpha=90.00 beta=90.00 gamma=90.00
Closest atoms and distances in Å follow each position.
Space group Fm-3m (No. 225)
Inequivalent atoms, fractional coordinates:
1 Pa 0.0000 0.0000 0.0000  8 Au 3.10
2 Bi 0.0000 0.0000 0.5000  8 Au 3.10
3 Au 0.2500 0.2500 0.2500  4 Pa 3.10, 4 Bi 3.10

Computed properties:
E = -59.425 eV per atom
ΔH_f (0 K) = -1.17 eV per formula unit
Crystal system = cubic